[1]
The following is a DFT calculation (PBE) of a relaxed structure of La2SbS5Br.

```
La2SbS5Br
1.0
8.992 0.000 0.000
0.000 5.516 0.000
0.000 0.000 18.074
La Sb S Br
8 4 20 4
Direct
0.155 0.250 0.200 La
0.226 0.250 0.470 La
0.274 0.750 0.970 La
0.345 0.750 0.700 La
0.655 0.250 0.300 La
0.726 0.250 0.030 La
0.774 0.750 0.530 La
0.845 0.750 0.800 La
0.014 0.250 0.669 Sb
0.486 0.750 0.169 Sb
0.514 0.250 0.831 Sb
0.986 0.750 0.331 Sb
0.020 0.750 0.654 S
0.074 0.750 0.457 S
0.155 0.561 0.827 S
0.155 0.939 0.827 S
0.218 0.750 0.142 S
0.282 0.250 0.642 S
0.345 0.061 0.327 S
0.345 0.439 0.327 S
0.426 0.250 0.957 S
0.480 0.250 0.154 S
0.520 0.750 0.846 S
0.574 0.750 0.043 S
0.655 0.561 0.673 S
0.655 0.939 0.673 S
0.718 0.750 0.358 S
0.782 0.250 0.858 S
0.845 0.061 0.173 S
0.845 0.439 0.173 S
0.926 0.250 0.543 S
0.980 0.250 0.346 S
0.096 0.250 0.028 Br
0.404 0.750 0.528 Br
0.596 0.250 0.472 Br
0.904 0.750 0.972 Br
```

Values from the calculation:
Corrected total energy (MP2020 scheme) ... -5.77 eV per atom


[2]
The following is a DFT calculation (PBE) of a relaxed structure of Mg6SiSnO8.

```
Mg6SiSnO8
1.0
4.487 0.000 0.000
0.000 4.487 0.000
0.000 0.000 8.930
Mg Si Sn O
6 1 1 8
Direct
0.000 0.000 0.000 Mg
0.000 0.500 0.236 Mg
0.000 0.500 0.764 Mg
0.500 0.000 0.236 Mg
0.500 0.000 0.764 Mg
0.500 0.500 0.000 Mg
0.000 0.000 0.500 Si
0.500 0.500 0.500 Sn
0.000 0.000 0.235 O
0.000 0.000 0.765 O
0.000 0.500 0.000 O
0.000 0.500 0.500 O
0.500 0.000 0.000 O
0.500 0.000 0.500 O
0.500 0.500 0.227 O
0.500 0.500 0.773 O
```

Values from the calculation:
Polymorph energy (0 for the lowest one) ... 0 meV/atom
Corrected total energy (MP2020 scheme) ... -6.03 eV per atom


[3]
The following is a DFT calculation (PBE) of a relaxed structure of ScCo2.

```
ScCo2
1.0
0.000 3.450 3.450
3.450 0.000 3.450
3.450 3.450 0.000
Sc Co
2 4
Direct
0.125 0.125 0.125 Sc
0.875 0.875 0.875 Sc
0.000 0.500 0.500 Co
0.500 0.000 0.500 Co
0.500 0.500 0.000 Co
0.500 0.500 0.500 Co
```

Values from the calculation:
DFT total energy ... -43.2 eV/cell


[4]
The following is a DFT calculation (PBE) of a relaxed structure of LaAl20V2.

```
LaAl20V2
1.0
0.000 7.300 7.300
7.300 0.000 7.300
7.300 7.300 0.000
La Al V
2 40 4
Direct
0.125 0.125 0.125 La
0.875 0.875 0.875 La
0.000 0.000 0.000 Al
0.000 0.000 0.500 Al
0.000 0.500 0.000 Al
0.056 0.327 0.327 Al
0.056 0.327 0.791 Al
0.056 0.791 0.327 Al
0.209 0.673 0.673 Al
0.209 0.673 0.944 Al
0.209 0.944 0.673 Al
0.238 0.238 0.512 Al
0.238 0.512 0.238 Al
0.238 0.512 0.512 Al
0.327 0.056 0.327 Al
0.327 0.056 0.791 Al
0.327 0.327 0.056 Al
0.327 0.327 0.791 Al
0.327 0.791 0.056 Al
0.327 0.791 0.327 Al
0.488 0.488 0.762 Al
0.488 0.762 0.488 Al
0.488 0.762 0.762 Al
0.500 0.000 0.000 Al
0.512 0.238 0.238 Al
0.512 0.238 0.512 Al
0.512 0.512 0.238 Al
0.673 0.209 0.673 Al
0.673 0.209 0.944 Al
0.673 0.673 0.209 Al
0.673 0.673 0.944 Al
0.673 0.944 0.209 Al
0.673 0.944 0.673 Al
0.762 0.488 0.488 Al
0.762 0.488 0.762 Al
0.762 0.762 0.488 Al
0.791 0.056 0.327 Al
0.791 0.327 0.056 Al
0.791 0.327 0.327 Al
0.944 0.209 0.673 Al
0.944 0.673 0.209 Al
0.944 0.673 0.673 Al
0.000 0.500 0.500 V
0.500 0.000 0.500 V
0.500 0.500 0.000 V
0.500 0.500 0.500 V
```

Values from the calculation:
DFT total energy ... -205.8 eV/cell


[5]
The following is a DFT calculation (PBE) of a relaxed structure of Er3Lu.

```
Er3Lu
1.0
7.108 0.000 0.000
-3.554 6.156 0.000
0.000 0.000 5.561
Er Lu
6 2
Direct
0.167 0.334 0.250 Er
0.167 0.833 0.250 Er
0.334 0.167 0.750 Er
0.666 0.833 0.250 Er
0.833 0.167 0.750 Er
0.833 0.666 0.750 Er
0.333 0.667 0.750 Lu
0.667 0.333 0.250 Lu
```

Values from the calculation:
DFT total energy ... -36.4 eV/cell


[6]
The following is a DFT calculation (PBE) of a relaxed structure of Ca10P6ClO24F.

```
Ca10P6ClO24F
1.0
9.591 0.000 0.000
-4.795 8.306 0.000
0.000 0.000 13.833
Ca P Cl O F
20 12 2 48 2
Direct
0.000 0.000 0.000 Ca
0.000 0.000 0.247 Ca
0.000 0.000 0.498 Ca
0.000 0.000 0.749 Ca
0.333 0.667 0.000 Ca
0.333 0.667 0.249 Ca
0.333 0.667 0.495 Ca
0.333 0.667 0.749 Ca
0.400 0.072 0.624 Ca
0.407 0.339 0.872 Ca
0.422 0.091 0.122 Ca
0.422 0.336 0.372 Ca
0.661 0.069 0.872 Ca
0.664 0.087 0.372 Ca
0.669 0.578 0.122 Ca
0.672 0.600 0.624 Ca
0.909 0.331 0.122 Ca
0.913 0.578 0.372 Ca
0.928 0.328 0.624 Ca
0.931 0.593 0.872 Ca
0.036 0.303 0.373 P
0.037 0.301 0.875 P
0.066 0.701 0.623 P
0.069 0.705 0.124 P
0.264 0.963 0.875 P
0.267 0.964 0.373 P
0.295 0.364 0.124 P
0.299 0.366 0.623 P
0.634 0.934 0.623 P
0.636 0.931 0.124 P
0.697 0.733 0.373 P
0.699 0.736 0.875 P
0.667 0.333 0.692 Cl
0.667 0.333 0.938 Cl
0.001 0.584 0.535 O
0.012 0.592 0.214 O
0.016 0.595 0.033 O
0.025 0.598 0.716 O
0.076 0.867 0.871 O
0.079 0.867 0.374 O
0.133 0.209 0.871 O
0.133 0.212 0.374 O
0.150 0.488 0.374 O
0.152 0.486 0.874 O
0.182 0.179 0.124 O
0.183 0.180 0.624 O
0.198 0.455 0.125 O
0.203 0.457 0.618 O
0.254 0.797 0.618 O
0.257 0.802 0.125 O
0.310 0.068 0.967 O
0.321 0.075 0.785 O
0.322 0.076 0.464 O
0.324 0.076 0.284 O
0.334 0.848 0.874 O
0.338 0.850 0.374 O
0.402 0.428 0.716 O
0.405 0.421 0.033 O
0.408 0.420 0.214 O
0.416 0.417 0.535 O
0.512 0.662 0.374 O
0.514 0.666 0.874 O
0.543 0.746 0.618 O
0.545 0.743 0.125 O
0.572 0.975 0.716 O
0.579 0.984 0.033 O
0.580 0.988 0.214 O
0.583 0.999 0.535 O
0.752 0.676 0.284 O
0.754 0.678 0.464 O
0.754 0.679 0.785 O
0.759 0.690 0.967 O
0.788 0.921 0.374 O
0.791 0.924 0.871 O
0.820 0.003 0.624 O
0.821 0.003 0.124 O
0.924 0.246 0.464 O
0.924 0.248 0.284 O
0.925 0.246 0.785 O
0.932 0.241 0.967 O
0.997 0.817 0.624 O
0.997 0.818 0.124 O
0.667 0.333 0.147 F
0.667 0.333 0.377 F
```

Values from the calculation:
Corrected total energy (MP2020 scheme) ... -7.51 eV per atom


[7]
The following is a DFT calculation (PBE) of a relaxed structure of YMg149.

```
YMg149
1.0
15.972 0.000 0.000
-7.986 13.832 0.000
0.000 0.000 15.607
Y Mg
1 149
Direct
0.000 0.000 0.000 Y
0.000 0.000 0.335 Mg
0.000 0.000 0.665 Mg
0.000 0.201 0.333 Mg
0.000 0.201 0.667 Mg
0.000 0.400 0.000 Mg
0.000 0.400 0.334 Mg
0.000 0.400 0.666 Mg
0.000 0.600 0.000 Mg
0.000 0.600 0.334 Mg
0.000 0.600 0.666 Mg
0.000 0.799 0.333 Mg
0.000 0.799 0.667 Mg
0.003 0.205 0.000 Mg
0.003 0.798 0.000 Mg
0.066 0.533 0.500 Mg
0.067 0.134 0.500 Mg
0.067 0.334 0.500 Mg
0.067 0.533 0.167 Mg
0.067 0.533 0.833 Mg
0.067 0.733 0.500 Mg
0.067 0.933 0.500 Mg
0.068 0.136 0.170 Mg
0.068 0.136 0.830 Mg
0.068 0.336 0.168 Mg
0.068 0.336 0.832 Mg
0.068 0.732 0.168 Mg
0.068 0.732 0.832 Mg
0.068 0.932 0.170 Mg
0.068 0.932 0.830 Mg
0.200 0.400 0.334 Mg
0.200 0.400 0.666 Mg
0.200 0.600 0.000 Mg
0.200 0.600 0.334 Mg
0.200 0.600 0.666 Mg
0.200 0.800 0.334 Mg
0.200 0.800 0.666 Mg
0.201 0.000 0.333 Mg
0.201 0.000 0.667 Mg
0.201 0.201 0.333 Mg
0.201 0.201 0.667 Mg
0.202 0.205 0.000 Mg
0.202 0.403 0.000 Mg
0.202 0.798 0.000 Mg
0.202 0.997 0.000 Mg
0.264 0.132 0.165 Mg
0.264 0.132 0.835 Mg
0.267 0.134 0.500 Mg
0.267 0.334 0.500 Mg
0.267 0.534 0.167 Mg
0.267 0.534 0.500 Mg
0.267 0.534 0.833 Mg
0.267 0.733 0.167 Mg
0.267 0.733 0.500 Mg
0.267 0.733 0.833 Mg
0.267 0.933 0.500 Mg
0.268 0.336 0.168 Mg
0.268 0.336 0.832 Mg
0.268 0.932 0.168 Mg
0.268 0.932 0.832 Mg
0.400 0.000 0.000 Mg
0.400 0.000 0.334 Mg
0.400 0.000 0.666 Mg
0.400 0.200 0.333 Mg
0.400 0.200 0.667 Mg
0.400 0.400 0.000 Mg
0.400 0.400 0.334 Mg
0.400 0.400 0.666 Mg
0.400 0.600 0.000 Mg
0.400 0.600 0.334 Mg
0.400 0.600 0.666 Mg
0.400 0.800 0.000 Mg
0.400 0.800 0.334 Mg
0.400 0.800 0.666 Mg
0.401 0.201 0.000 Mg
0.466 0.133 0.167 Mg
0.466 0.133 0.833 Mg
0.466 0.333 0.167 Mg
0.466 0.333 0.833 Mg
0.466 0.733 0.167 Mg
0.466 0.733 0.500 Mg
0.466 0.733 0.833 Mg
0.467 0.134 0.500 Mg
0.467 0.333 0.500 Mg
0.467 0.533 0.167 Mg
0.467 0.533 0.500 Mg
0.467 0.533 0.833 Mg
0.467 0.933 0.167 Mg
0.467 0.933 0.833 Mg
0.467 0.934 0.500 Mg
0.597 0.798 0.000 Mg
0.600 0.000 0.000 Mg
0.600 0.000 0.334 Mg
0.600 0.000 0.666 Mg
0.600 0.200 0.000 Mg
0.600 0.200 0.333 Mg
0.600 0.200 0.667 Mg
0.600 0.400 0.000 Mg
0.600 0.400 0.333 Mg
0.600 0.400 0.667 Mg
0.600 0.600 0.000 Mg
0.600 0.600 0.334 Mg
0.600 0.600 0.666 Mg
0.600 0.800 0.334 Mg
0.600 0.800 0.666 Mg
0.664 0.732 0.168 Mg
0.664 0.732 0.832 Mg
0.664 0.932 0.168 Mg
0.664 0.932 0.832 Mg
0.666 0.733 0.500 Mg
0.666 0.933 0.500 Mg
0.667 0.133 0.167 Mg
0.667 0.133 0.833 Mg
0.667 0.134 0.500 Mg
0.667 0.333 0.166 Mg
0.667 0.333 0.500 Mg
0.667 0.333 0.834 Mg
0.667 0.533 0.500 Mg
0.667 0.534 0.167 Mg
0.667 0.534 0.833 Mg
0.795 0.798 0.000 Mg
0.795 0.997 0.000 Mg
0.799 0.000 0.333 Mg
0.799 0.000 0.667 Mg
0.799 0.201 0.000 Mg
0.799 0.599 0.000 Mg
0.799 0.799 0.333 Mg
0.799 0.799 0.667 Mg
0.800 0.200 0.333 Mg
0.800 0.200 0.667 Mg
0.800 0.400 0.000 Mg
0.800 0.400 0.333 Mg
0.800 0.400 0.667 Mg
0.800 0.600 0.333 Mg
0.800 0.600 0.667 Mg
0.864 0.932 0.170 Mg
0.864 0.932 0.830 Mg
0.866 0.134 0.500 Mg
0.866 0.333 0.500 Mg
0.866 0.533 0.500 Mg
0.866 0.733 0.500 Mg
0.866 0.933 0.500 Mg
0.867 0.333 0.167 Mg
0.867 0.333 0.833 Mg
0.867 0.534 0.167 Mg
0.867 0.534 0.833 Mg
0.868 0.132 0.165 Mg
0.868 0.132 0.835 Mg
0.868 0.736 0.165 Mg
0.868 0.736 0.835 Mg
```

Values from the calculation:
DFT total energy ... -248.8 eV/cell


[8]
The following is a DFT calculation (PBE) of a relaxed structure of Nd5Sn15Rh8.

```
Nd5Sn15Rh8
1.0
7.310 0.000 0.000
0.000 4.539 0.000
-0.031 0.000 18.756
Nd Sn Rh
5 15 8
Direct
0.000 0.000 0.000 Nd
0.000 0.500 0.284 Nd
0.501 0.000 0.498 Nd
0.502 0.500 0.786 Nd
0.996 0.500 0.711 Nd
0.011 0.000 0.574 Sn
0.133 0.000 0.173 Sn
0.197 0.500 0.457 Sn
0.218 0.000 0.835 Sn
0.279 0.000 0.337 Sn
0.306 0.500 0.962 Sn
0.354 0.000 0.673 Sn
0.483 0.000 0.073 Sn
0.518 0.500 0.209 Sn
0.634 0.500 0.610 Sn
0.698 0.000 0.324 Sn
0.719 0.500 0.948 Sn
0.777 0.500 0.448 Sn
0.804 0.000 0.822 Sn
0.866 0.500 0.111 Sn
0.022 0.500 0.867 Rh
0.252 0.500 0.108 Rh
0.265 0.500 0.598 Rh
0.485 0.500 0.353 Rh
0.518 0.000 0.926 Rh
0.730 0.000 0.676 Rh
0.747 0.000 0.177 Rh
0.982 0.000 0.429 Rh
```

Values from the calculation:
DFT total energy ... -162.0 eV/cell